[1]
# AlO3

AlO3 after structural relaxation (PBE, the Materials Project).

POSCAR file:
```
AlO3
1.0
1.020 3.585 3.789
-3.579 1.250 3.725
0.636 -1.391 5.090
O Al
6 2
Direct
0.222 0.750 0.278
0.778 0.250 0.722
0.750 0.278 0.222
0.278 0.222 0.750
0.722 0.778 0.250
0.250 0.722 0.778
0.000 0.000 0.000
0.500 0.500 0.500
```

- space-group type = R-3c
- ρ (g/cm3) = 2.5
- total DFT energy (no corrections) (eV per atom) = -5.72

[2]
# Al8O3

Al8O3 after structural relaxation (PBE, the Materials Project).

POSCAR file:
```
Al8O3
1.0
5.730 0.023 -0.078
2.884 4.960 -0.100
-0.674 -0.618 49.637
O Al
12 32
Direct
0.036 0.090 0.360
0.845 0.811 0.278
0.340 0.889 0.403
0.180 0.662 0.333
0.139 0.115 0.303
0.631 0.125 0.322
0.597 0.578 0.365
0.333 0.344 0.281
0.082 0.595 0.387
0.632 0.606 0.303
0.582 0.102 0.389
0.870 0.387 0.409
0.218 0.240 0.397
0.000 0.500 0.143
0.357 0.340 0.240
0.671 0.164 0.189
0.704 0.733 0.393
0.245 0.746 0.371
0.679 0.669 0.190
0.350 0.838 0.234
0.333 0.833 0.095
0.664 0.168 0.049
0.164 0.668 0.049
0.492 0.500 0.001
0.992 0.499 0.002
0.163 0.166 0.049
0.438 0.462 0.310
0.000 0.000 0.143
0.173 0.665 0.190
0.992 0.000 0.001
0.178 0.167 0.189
0.833 0.333 0.095
0.851 0.329 0.234
0.500 0.500 0.143
0.833 0.833 0.095
0.980 0.004 0.325
0.509 0.967 0.295
0.663 0.666 0.049
0.956 0.440 0.283
0.851 0.844 0.241
0.500 0.000 0.143
0.492 0.999 0.001
0.752 0.268 0.381
0.333 0.333 0.095
```

- space-group type = P1
- ρ (g/cm3) = 1.2
- total DFT energy (no corrections) (eV per atom) = -5.28

[3]
# AlO3

AlO3 after structural relaxation (PBE, the Materials Project).

POSCAR file:
```
AlO3
1.0
7.652 -0.002 -1.463
6.750 3.604 -1.463
0.000 0.000 2.972
Al O
2 6
Direct
0.843 0.543 0.695
0.457 0.157 0.305
0.518 0.258 0.890
0.742 0.482 0.110
0.366 0.070 0.717
0.930 0.634 0.283
0.962 0.107 0.911
0.893 0.038 0.089
```

- space-group type = C2
- ρ (g/cm3) = 3.0
- total DFT energy (no corrections) (eV per atom) = -6.28